[1]
VASP calculation (GGA+U) on TbFeAsO after structural relaxation.

Geometry as POSCAR:
```
TbFeAsO
1.0
3.9716 0.0000 0.0000
0.0000 3.9716 0.0000
0.0000 0.0000 9.0965
Tb Fe As O
2 2 2 2
Direct
0.2500 0.2500 0.1212
0.7500 0.7500 0.8788
0.2500 0.7500 0.5000
0.7500 0.2500 0.5000
0.2500 0.2500 0.6855
0.7500 0.7500 0.3145
0.2500 0.7500 0.0000
0.7500 0.2500 0.0000
```

VASP energy (eV per formula unit): -26.56


[2]
VASP calculation (GGA+U) on ZnFeAs2O7 after structural relaxation.

Geometry as POSCAR:
```
ZnFeAs2O7
1.0
7.3802 0.0000 0.0000
0.0000 8.7987 0.0000
-3.9811 0.0000 8.8843
Zn Fe As O
4 4 8 28
Direct
0.2195 0.0810 0.1117
0.2195 0.4190 0.6117
0.7805 0.5810 0.3883
0.7805 0.9190 0.8883
0.3149 0.0547 0.6833
0.3149 0.4453 0.1833
0.6851 0.5547 0.8167
0.6851 0.9453 0.3167
0.0686 0.7267 0.7465
0.0686 0.7733 0.2465
0.4859 0.7237 0.0408
0.4859 0.7763 0.5408
0.5141 0.2237 0.4592
0.5141 0.2763 0.9592
0.9314 0.2267 0.7535
0.9314 0.2733 0.2535
0.0339 0.5945 0.6076
0.0339 0.9055 0.1076
0.1338 0.2358 0.7104
0.1338 0.2642 0.2104
0.1410 0.6017 0.2149
0.1410 0.8983 0.7149
0.2524 0.6476 0.9148
0.2524 0.8524 0.4148
0.3574 0.2292 0.5505
0.3574 0.2708 0.0505
0.4536 0.6040 0.6067
0.4536 0.8960 0.1067
0.4613 0.0815 0.3272
0.4613 0.4185 0.8272
0.5387 0.5815 0.1728
0.5387 0.9185 0.6728
0.5464 0.1040 0.8933
0.5464 0.3960 0.3933
0.6426 0.7292 0.9495
0.6426 0.7708 0.4495
0.7476 0.1476 0.5852
0.7476 0.3524 0.0852
0.8590 0.1017 0.2851
0.8590 0.3983 0.7851
0.8662 0.7358 0.7896
0.8662 0.7642 0.2896
0.9661 0.0945 0.8924
0.9661 0.4055 0.3924
```

VASP energy (eV per formula unit): -65.37


[3]
VASP calculation (GGA+U) on Zn3Fe3As4O16 after structural relaxation.

Geometry as POSCAR:
```
Zn3Fe3As4O16
1.0
8.6265 0.0000 0.0000
0.0000 5.2846 0.0000
-5.7405 0.0000 15.1479
Zn Fe As O
6 6 8 32
Direct
0.0000 0.0000 0.0000
0.0000 0.5000 0.5000
0.3080 0.0602 0.2848
0.3080 0.4398 0.7848
0.6920 0.5602 0.2152
0.6920 0.9398 0.7152
0.1992 0.5042 0.3754
0.1992 0.9958 0.8754
0.5000 0.0000 0.5000
0.5000 0.5000 0.0000
0.8008 0.0042 0.1246
0.8008 0.4958 0.6246
0.0310 0.0214 0.6481
0.0310 0.4786 0.1481
0.4150 0.5047 0.6057
0.4150 0.9953 0.1057
0.5850 0.0047 0.8943
0.5850 0.4953 0.3943
0.9690 0.5214 0.8519
0.9690 0.9786 0.3519
0.0097 0.7007 0.6277
0.0097 0.7993 0.1277
0.0814 0.1893 0.5726
0.0814 0.3107 0.0726
0.1614 0.6154 0.8460
0.1614 0.8846 0.3460
0.1821 0.0989 0.7490
0.1821 0.4011 0.2490
0.2481 0.5702 0.5116
0.2481 0.9298 0.0116
0.3926 0.5910 0.7012
0.3926 0.9090 0.2012
0.4283 0.2143 0.9023
0.4283 0.2857 0.4023
0.4997 0.2104 0.6047
0.4997 0.2896 0.1047
0.5003 0.7104 0.8953
0.5003 0.7896 0.3953
0.5717 0.7143 0.5977
0.5717 0.7857 0.0977
0.6074 0.0910 0.7988
0.6074 0.4090 0.2988
0.7519 0.0702 0.9884
0.7519 0.4298 0.4884
0.8179 0.5989 0.7510
0.8179 0.9011 0.2510
0.8386 0.1154 0.6540
0.8386 0.3846 0.1540
0.9186 0.6893 0.9274
0.9186 0.8107 0.4274
0.9903 0.2007 0.8723
0.9903 0.2993 0.3723
```

VASP energy (eV per formula unit): -153.40


[4]
VASP calculation (GGA+U) on Na2GdMnAs2O9 after structural relaxation.

Geometry as POSCAR:
```
Na2GdMnAs2O9
1.0
5.8860 0.0000 0.0000
0.3759 8.9898 0.0000
0.0095 0.0118 15.0522
Na Gd Mn As O
8 4 4 8 36
Direct
0.2354 0.4005 0.2277
0.2365 0.6773 0.3633
0.2636 0.8229 0.8634
0.2652 0.0993 0.7277
0.7348 0.9007 0.2723
0.7364 0.1771 0.1366
0.7635 0.3227 0.6367
0.7646 0.5995 0.7723
0.2018 0.7831 0.1196
0.2977 0.7175 0.6196
0.7023 0.2825 0.3804
0.7982 0.2169 0.8804
0.0000 0.0000 0.5000
0.0000 0.5000 0.0000
0.5000 0.0000 0.5000
0.5000 0.5000 0.0000
0.2175 0.0678 0.2971
0.2402 0.3451 0.4973
0.2597 0.1547 0.9972
0.2825 0.4317 0.7973
0.7175 0.5683 0.2027
0.7403 0.8453 0.0028
0.7598 0.6549 0.5027
0.7825 0.9322 0.7029
0.0024 0.7609 0.4963
0.0034 0.1994 0.2784
0.0140 0.2631 0.0222
0.0217 0.3712 0.7693
0.1433 0.9024 0.2536
0.1907 0.0972 0.8920
0.2056 0.4832 0.5734
0.2403 0.0208 0.4099
0.2475 0.5295 0.0793
0.2542 0.9692 0.5799
0.2598 0.4790 0.9100
0.2937 0.0168 0.0736
0.3091 0.4028 0.3920
0.3562 0.5972 0.7532
0.4781 0.1284 0.2686
0.4857 0.2367 0.5225
0.4971 0.3007 0.7786
0.4971 0.7402 0.9969
0.5029 0.2598 0.0031
0.5029 0.6993 0.2214
0.5143 0.7633 0.4775
0.5219 0.8716 0.7314
0.6438 0.4028 0.2468
0.6909 0.5972 0.6080
0.7063 0.9832 0.9264
0.7402 0.5210 0.0900
0.7458 0.0308 0.4201
0.7525 0.4705 0.9207
0.7597 0.9792 0.5901
0.7944 0.5168 0.4266
0.8093 0.9028 0.1080
0.8567 0.0976 0.7464
0.9783 0.6288 0.2307
0.9860 0.7369 0.9778
0.9966 0.8006 0.7216
0.9976 0.2391 0.5037
```

VASP energy (eV per formula unit): -106.84


[5]
VASP calculation (GGA+U) on Mn4Si3AsHO13 after structural relaxation.

Geometry as POSCAR:
```
Mn4Si3AsHO13
1.0
6.7743 0.0000 0.0000
0.0000 20.2448 0.0000
-5.9982 0.0000 7.6352
Mn Si As H O
16 12 4 4 52
Direct
0.0014 0.0842 0.0453
0.0014 0.4158 0.5453
0.0860 0.2455 0.6379
0.0860 0.2545 0.1379
0.4045 0.6480 0.1465
0.4045 0.8520 0.6465
0.4846 0.0083 0.7484
0.4846 0.4917 0.2484
0.5154 0.5083 0.7516
0.5154 0.9917 0.2516
0.5955 0.1480 0.3535
0.5955 0.3520 0.8535
0.9140 0.7455 0.8621
0.9140 0.7545 0.3621
0.9986 0.5842 0.4547
0.9986 0.9158 0.9547
0.1058 0.5196 0.8387
0.1058 0.9804 0.3387
0.1503 0.1328 0.4174
0.1503 0.3672 0.9174
0.3871 0.0979 0.9374
0.3871 0.4021 0.4374
0.6129 0.5979 0.5626
0.6129 0.9021 0.0626
0.8497 0.6328 0.0826
0.8497 0.8672 0.5826
0.8942 0.0196 0.6613
0.8942 0.4804 0.1613
0.3579 0.6991 0.7907
0.3579 0.8009 0.2907
0.6421 0.1991 0.7093
0.6421 0.3009 0.2093
0.3590 0.2033 0.9837
0.3590 0.2967 0.4837
0.6410 0.7033 0.5163
0.6410 0.7967 0.0163
0.0407 0.6762 0.0735
0.0407 0.8238 0.5735
0.0617 0.0553 0.3819
0.0617 0.4447 0.8819
0.1202 0.6805 0.5791
0.1202 0.8195 0.0791
0.1510 0.5153 0.6916
0.1510 0.9847 0.1916
0.1680 0.0570 0.7541
0.1680 0.4430 0.2541
0.1947 0.1575 0.2776
0.1947 0.3425 0.7776
0.2579 0.7093 0.9131
0.2579 0.7907 0.4131
0.3197 0.1777 0.8809
0.3197 0.3223 0.3809
0.3240 0.5527 0.0264
0.3240 0.9473 0.5264
0.3606 0.5706 0.5262
0.3606 0.9294 0.0262
0.3772 0.0858 0.1003
0.3772 0.4142 0.6003
0.4362 0.1299 0.6192
0.4362 0.3701 0.1192
0.4475 0.2368 0.1748
0.4475 0.2632 0.6748
0.5525 0.7368 0.3252
0.5525 0.7632 0.8252
0.5638 0.6299 0.8808
0.5638 0.8701 0.3808
0.6228 0.5858 0.3997
0.6228 0.9142 0.8997
0.6394 0.0706 0.9738
0.6394 0.4294 0.4738
0.6760 0.0527 0.4736
0.6760 0.4473 0.9736
0.6803 0.6777 0.6191
0.6803 0.8223 0.1191
0.7421 0.2093 0.5869
0.7421 0.2907 0.0869
0.8053 0.6575 0.2224
0.8053 0.8425 0.7224
0.8320 0.5569 0.7459
0.8320 0.9430 0.2459
0.8490 0.0153 0.8084
0.8490 0.4847 0.3084
0.8798 0.1805 0.9209
0.8798 0.3195 0.4209
0.9383 0.5553 0.1181
0.9383 0.9447 0.6181
0.9593 0.1762 0.4265
0.9593 0.3238 0.9265
```

VASP energy (eV per formula unit): -164.16


[6]
VASP calculation (GGA+U) on SrMoAsH3O8 after structural relaxation.

Geometry as POSCAR:
```
SrMoAsH3O8
1.0
7.8172 -5.2031 0.0000
7.8172 5.2031 0.0000
-5.0748 0.0000 8.5202
Sr Mo As H O
4 4 4 12 32
Direct
0.1398 0.6804 0.8747
0.3196 0.8602 0.6253
0.6804 0.1398 0.3747
0.8602 0.3196 0.1253
0.2559 0.4399 0.2280
0.4399 0.2559 0.7280
0.5601 0.7441 0.2720
0.7441 0.5601 0.7720
0.1056 0.2705 0.8228
0.2705 0.1056 0.3228
0.7295 0.8944 0.6772
0.8944 0.7295 0.1772
0.0215 0.2495 0.4643
0.0994 0.8680 0.3210
0.1320 0.9006 0.1790
0.1386 0.6118 0.5275
0.2495 0.0215 0.9643
0.3882 0.8614 0.9725
0.6118 0.1386 0.0275
0.7505 0.9785 0.0357
0.8614 0.3882 0.4725
0.8680 0.0994 0.8210
0.9006 0.1320 0.6790
0.9785 0.7505 0.5357
0.0007 0.8783 0.3377
0.0085 0.4483 0.7801
0.0919 0.7140 0.5974
0.1126 0.2563 0.9916
0.1217 0.9993 0.1623
0.1793 0.2906 0.2924
0.2203 0.5539 0.1074
0.2563 0.1126 0.4916
0.2860 0.9081 0.9026
0.2906 0.1793 0.7924
0.2918 0.4397 0.7135
0.3078 0.5740 0.4212
0.4260 0.6922 0.0788
0.4397 0.2918 0.2135
0.4461 0.7797 0.3926
0.4483 0.0085 0.2801
0.5517 0.9915 0.7199
0.5539 0.2203 0.6074
0.5603 0.7082 0.7865
0.5740 0.3078 0.9212
0.6922 0.4260 0.5788
0.7082 0.5603 0.2865
0.7094 0.8207 0.2076
0.7140 0.0919 0.0974
0.7437 0.8874 0.5084
0.7797 0.4461 0.8926
0.8207 0.7094 0.7076
0.8783 0.0007 0.8377
0.8874 0.7437 0.0084
0.9081 0.2860 0.4026
0.9915 0.5517 0.2199
0.9993 0.1217 0.6623
```

VASP energy (eV per formula unit): -84.90


Question: Which of these has the lowest VASP energy?
Answer: Mn4Si3AsHO13


Question: Among the records above, which one has the highest VASP energy?
Answer: TbFeAsO